Entry 1:
CaPbI4: relaxed, GGA-PBE.

a = 17.134 Å, b = 4.613 Å, c = 8.064 Å
α = 90.00°, β = 118.07°, γ = 90.00°
Space group C2/m (No. 12)
Asymmetric unit:
Ca 0.000 0.000 0.000 x2
Pb 0.000 0.500 0.500 x2
I 0.117 0.500 0.958 x4
I 0.119 0.000 0.444 x4

***

Entry 2:
Tb2CoSi2: relaxed, GGA-PBE.

a = 10.465 Å, b = 4.147 Å, c = 10.011 Å
α = 90.00°, β = 119.11°, γ = 90.00°
Space group C2/m (No. 12)
Asymmetric unit:
Tb 0.001 0.000 0.329 x4
Tb 0.187 0.000 0.107 x4
Co 0.227 0.500 0.377 x4
Si 0.006 0.500 0.875 x4
Si 0.152 0.500 0.566 x4

Properties
As for the total magnetization: 0.37 μB/f.u.

***

Entry 3:
Te6MoBr3: relaxed, GGA-PBE.

a = 8.636 Å, b = 12.060 Å, c = 14.645 Å
α = 81.44°, β = 83.16°, γ = 73.95°
Space group P-1 (No. 2)
Asymmetric unit:
Te 0.030 0.260 0.291 x2
Te 0.096 0.302 0.544 x2
Te 0.145 0.928 0.369 x2
Te 0.176 0.656 0.557 x2
Te 0.188 0.972 0.606 x2
Te 0.215 0.771 0.132 x2
Te 0.233 0.544 0.969 x2
Te 0.299 0.200 0.397 x2
Te 0.331 0.848 0.955 x2
Te 0.355 0.210 0.974 x2
Te 0.364 0.438 0.134 x2
Te 0.464 0.310 0.804 x2
Mo 0.027 0.117 0.465 x2
Mo 0.471 0.617 0.033 x2
Br 0.022 0.873 0.902 x2
Br 0.132 0.388 0.780 x2
Br 0.254 0.601 0.348 x2
Br 0.355 0.668 0.732 x2
Br 0.382 0.104 0.199 x2
Br 0.498 0.834 0.426 x2

Properties
As for the total magnetization: 0.00 μB/f.u.

***

Entry 4:
MnSnPt: relaxed, GGA-PBE.

a = 6.129 Å, b = 6.129 Å, c = 6.129 Å
α = 90.00°, β = 90.00°, γ = 90.00°
Space group F-43m (No. 216)
Asymmetric unit:
Mn 0.000 0.000 0.000 x4
Sn 0.250 0.250 0.250 x4
Pt 0.250 0.250 0.750 x4

Properties
As for the total magnetization: 3.31 μB/f.u.

***

Entry 5:
SiO2: relaxed, GGA-PBE.

a = 4.987 Å, b = 5.105 Å, c = 59.142 Å
α = 88.89°, β = 88.45°, γ = 61.14°
Space group P1 (No. 1)
Asymmetric unit:
Si 0.000 0.000 0.000 x1
Si 0.001 0.977 0.482 x1
Si 0.026 0.515 0.420 x1
Si 0.043 0.005 0.905 x1
Si 0.072 0.999 0.389 x1
Si 0.104 0.517 0.327 x1
Si 0.113 0.002 0.812 x1
Si 0.147 0.005 0.297 x1
Si 0.169 0.499 0.233 x1
Si 0.194 0.002 0.202 x1
Si 0.298 0.002 0.114 x1
Si 0.303 0.489 0.146 x1
Si 0.398 0.999 0.024 x1
Si 0.400 0.489 0.056 x1
Si 0.501 0.996 0.450 x1
Si 0.523 0.500 0.969 x1
Si 0.536 0.998 0.937 x1
Si 0.563 0.518 0.874 x1
Si 0.581 0.997 0.358 x1
Si 0.600 0.008 0.843 x1
Si 0.616 0.505 0.781 x1
Si 0.663 0.993 0.265 x1
Si 0.737 0.979 0.752 x1
Si 0.758 0.505 0.692 x1
Si 0.799 0.997 0.178 x1
Si 0.842 0.986 0.661 x1
Si 0.844 0.498 0.601 x1
Si 0.896 0.000 0.088 x1
Si 0.943 0.971 0.571 x1
Si 0.974 0.489 0.513 x1
O 0.016 0.695 0.163 x1
O 0.035 0.948 0.639 x1
O 0.042 0.342 0.709 x1
O 0.043 0.309 0.310 x1
O 0.067 0.306 0.217 x1
O 0.077 0.677 0.496 x1
O 0.109 0.337 0.621 x1
O 0.113 0.699 0.073 x1
O 0.131 0.942 0.549 x1
O 0.141 0.721 0.406 x1
O 0.201 0.284 0.131 x1
O 0.209 0.729 0.313 x1
O 0.213 0.338 0.534 x1
O 0.214 0.708 0.984 x1
O 0.244 0.090 0.922 x1
O 0.254 0.725 0.889 x1
O 0.270 0.710 0.218 x1
O 0.293 0.891 0.465 x1
O 0.296 0.302 0.436 x1
O 0.297 0.285 0.041 x1
O 0.316 0.710 0.796 x1
O 0.326 0.088 0.826 x1
O 0.376 0.302 0.344 x1
O 0.378 0.898 0.374 x1
O 0.381 0.700 0.129 x1
O 0.456 0.281 0.953 x1
O 0.458 0.276 0.249 x1
O 0.458 0.907 0.282 x1
O 0.482 0.697 0.039 x1
O 0.494 0.311 0.858 x1
O 0.511 0.686 0.712 x1
O 0.527 0.947 0.191 x1
O 0.534 0.291 0.766 x1
O 0.583 0.697 0.620 x1
O 0.610 0.706 0.952 x1
O 0.612 0.283 0.160 x1
O 0.623 0.948 0.101 x1
O 0.666 0.727 0.860 x1
O 0.680 0.282 0.677 x1
O 0.697 0.690 0.531 x1
O 0.704 0.077 0.466 x1
O 0.706 0.720 0.766 x1
O 0.709 0.723 0.433 x1
O 0.710 0.282 0.071 x1
O 0.721 0.946 0.011 x1
O 0.776 0.270 0.586 x1
O 0.788 0.718 0.341 x1
O 0.790 0.076 0.373 x1
O 0.813 0.715 0.673 x1
O 0.822 0.303 0.984 x1
O 0.830 0.911 0.921 x1
O 0.842 0.304 0.891 x1
O 0.870 0.086 0.280 x1
O 0.877 0.701 0.250 x1
O 0.907 0.293 0.796 x1
O 0.910 0.914 0.829 x1
O 0.925 0.258 0.498 x1
O 0.928 0.693 0.583 x1
O 0.967 0.307 0.403 x1
O 0.974 0.932 0.733 x1

Properties
As for the total magnetization: 0.20 μB/f.u.

***

Entry 6:
Ta4Co2C: relaxed, GGA-PBE.

a = 11.646 Å, b = 11.646 Å, c = 11.646 Å
α = 90.00°, β = 90.00°, γ = 90.00°
Space group Fd-3m (No. 227, origin choice 2)
Asymmetric unit:
Ta 0.000 0.000 0.000 x16
Ta 0.063 0.375 0.875 x48
Co 0.043 0.043 0.207 x32
C 0.000 0.000 0.500 x16

Properties
As for the total magnetization: 1.58 μB/f.u.

***

Entry 7:
RbLi2I3O9: relaxed, GGA-PBE.

a = 8.420 Å, b = 11.410 Å, c = 11.449 Å
α = 90.00°, β = 111.02°, γ = 90.00°
Space group P2_1/c (No. 14)
Asymmetric unit:
Rb 0.212 0.044 0.161 x4
Li 0.126 0.216 0.860 x4
Li 0.484 0.711 0.653 x4
I 0.091 0.682 0.954 x4
I 0.273 0.553 0.320 x4
I 0.416 0.132 0.562 x4
O 0.035 0.738 0.304 x4
O 0.098 0.224 0.512 x4
O 0.150 0.044 0.883 x4
O 0.152 0.537 0.152 x4
O 0.241 0.712 0.553 x4
O 0.360 0.205 0.409 x4
O 0.367 0.580 0.917 x4
O 0.455 0.042 0.830 x4
O 0.474 0.243 0.169 x4

Properties
As for the total magnetization: 0.00 μB/f.u.

***

Entry 8:
ReCSN2Cl3O2: relaxed, GGA-PBE.

a = 11.075 Å, b = 7.972 Å, c = 13.226 Å
α = 90.00°, β = 90.00°, γ = 90.00°
Space group Pca2_1 (No. 29)
Asymmetric unit:
Re 0.173 0.181 0.000 x4
C 0.063 0.698 0.777 x4
S 0.050 0.494 0.613 x4
N 0.054 0.762 0.857 x4
N 0.074 0.636 0.688 x4
Cl 0.087 0.949 0.079 x4
Cl 0.207 0.997 0.414 x4
Cl 0.222 0.392 0.415 x4
O 0.037 0.250 0.953 x4
O 0.211 0.268 0.115 x4

Properties
As for the total magnetization: 2.00 μB/f.u. The distance to the lowest polymorph of the same formula comes out at 0.0 meV per atom.

***

Number 1: energy of formation -1.41 eV/atom. Number 2: energy of formation -0.72 eV/atom. Number 3: energy of formation -0.43 eV/atom. Number 4: energy of formation -0.08 eV/atom. Number 5: energy of formation -2.87 eV/atom. Number 6: energy of formation -0.39 eV/atom. Number 7: energy of formation -1.40 eV/atom. Number 8: energy of formation -0.36 eV/atom.